1.
The following is a DFT calculation (GGA-PBE) of crystalline LiRuO3 at its relaxed geometry.

The structure belongs to space group Pm-3m (No. 221); the cell edges are 3.835, 3.835 and 3.835 Å and the angles 90.00°, 90.00° and 90.00°. Symmetry generates all atoms from Li at (0.000, 0.000, 0.000), Ru at (0.500, 0.500, 0.500) and O at (0.000, 0.500, 0.500).

The value obtained for the calculated formation energy is -1458 meV per atom. The magnetization is 0.01 Bohr magnetons per cell.

=====

2.
The following is a DFT calculation (GGA-PBE) of crystalline LiSm2RuO6 at its relaxed geometry.

The structure belongs to space group P2_1/c (No. 14); the cell edges are 5.403, 5.787 and 9.376 Å and the angles 90.00°, 124.67° and 90.00°. Symmetry generates all atoms from Li at (0.000, 0.000, 0.000), Sm at (0.231, 0.075, 0.749), Ru at (0.500, 0.000, 0.500), O at (0.149, 0.183, 0.449), O at (0.265, 0.709, 0.443) and O at (0.362, 0.035, 0.256).

The value obtained for the calculated formation energy is -2829 meV per atom. The magnetization is 6.00 Bohr magnetons per cell.

=====

Look up the magnetization of the first one.
0.01 Bohr magnetons per cell

=====

What is the magnetization in the first record?
0.01 Bohr magnetons per cell